# 1
Below is TlF after structural relaxation, with properties calculated at the GGA-PBE level.

Lattice parameters (Å, degrees): 6.316 5.416 5.475 90.00 90.00 90.00
Positions (direct):
Tl 0.246 0.250 0.000
Tl 0.246 0.750 0.500
Tl 0.754 0.250 0.500
Tl 0.754 0.750 0.000
F 0.147 0.250 0.478
F 0.147 0.750 0.978
F 0.853 0.250 0.978
F 0.853 0.750 0.478

Its space-group type is Aem2. The maximum piezoelectric response comes out at 2.0 C/m2. The calculation puts the formation energy at -3.92 eV/f.u. The relative energy among the computed polymorphs comes out at 6.1 meV/atom.



# 2
Below is TlF after structural relaxation, with properties calculated at the GGA-PBE level.

Lattice parameters (Å, degrees): 5.681 5.681 5.681 90.00 90.00 90.00
Positions (direct):
Tl 0.000 0.000 0.000
Tl 0.000 0.500 0.500
Tl 0.500 0.000 0.500
Tl 0.500 0.500 0.000
F 0.000 0.000 0.500
F 0.000 0.500 0.000
F 0.500 0.000 0.000
F 0.500 0.500 0.500

Its space-group type is Fm-3m. The calculation puts the formation energy at -3.86 eV/f.u. The relative energy among the computed polymorphs comes out at 35.9 meV/atom.



# 3
Below is TlF after structural relaxation, with properties calculated at the GGA-PBE level.

Lattice parameters (Å, degrees): 3.843 3.843 6.317 90.00 90.00 90.00
Positions (direct):
Tl 0.250 0.250 0.247
Tl 0.750 0.750 0.753
F 0.250 0.250 0.853
F 0.750 0.750 0.147

Its space-group type is P4/nmm. The calculation puts the formation energy at -3.92 eV/f.u. The relative energy among the computed polymorphs comes out at 5.6 meV/atom.